(1)
First-principles (r²SCAN) data for crystalline CdHg3 at its relaxed geometry, as listed in Materials Project.

Summary:
E above lowest polymorph	3	meV/atom
ΔE_f	0.040	eV/atom
mass density	11.92	g/cm³
M_tot	0.0	μB per formula unit

The structure in POSCAR format:
```
CdHg3
1.0
3.287 -5.693 0.000
3.287 5.693 0.000
0.000 0.000 5.318
Cd Hg
2 6
Cartesian
3.287 1.898 3.988
3.287 -1.898 1.329
1.657 0.957 1.329
4.917 0.957 1.329
3.287 3.780 1.329
4.917 -0.957 3.988
1.657 -0.957 3.988
3.287 -3.780 3.988
```

(2)
First-principles (r²SCAN) data for crystalline YAlCu at its relaxed geometry, as listed in Materials Project.

Summary:
ΔE_f	-0.487	eV/atom
mass density	5.23	g/cm³
M_tot	0.0	μB per formula unit

The structure in POSCAR format:
```
YAlCu
1.0
1.955 2.474 -6.272
-3.371 -6.140 0.456
-3.508 1.900 -0.344
Y Al Cu
3 3 3
Cartesian
-3.150 -1.593 0.017
-2.584 -1.198 -3.579
-0.944 1.975 -2.770
-2.587 -4.712 0.350
-0.330 -0.853 -1.353
1.500 1.898 -4.813
-1.596 -3.269 -1.787
0.179 -0.398 -4.029
-1.754 0.950 -0.172
```

(3)
First-principles (r²SCAN) data for crystalline Tm2Mo4O15 at its relaxed geometry, as listed in Materials Project.

Summary:
ΔE_f	-2.654	eV/atom
mass density	4.95	g/cm³
M_tot	0.0	μB per formula unit

The structure in POSCAR format:
```
Tm2Mo4O15
1.0
9.493 0.000 0.000
0.000 6.740 0.004
0.000 2.725 10.087
Tm Mo O
4 8 30
Cartesian
4.960 5.410 2.263
4.532 4.055 7.828
0.214 2.692 2.784
9.279 6.772 7.306
7.056 2.860 0.108
2.436 6.605 9.983
2.310 5.242 4.939
7.183 4.223 5.152
8.579 6.357 1.591
0.914 3.108 8.500
3.833 1.746 3.456
5.660 7.719 6.635
6.842 6.383 1.494
2.650 3.082 8.597
2.096 1.719 3.553
7.397 7.746 6.537
5.929 3.816 1.043
3.564 5.648 9.048
1.182 4.286 4.004
8.310 5.179 6.087
3.299 5.083 0.841
6.194 4.381 9.249
8.045 3.019 4.206
1.448 6.446 5.885
0.000 0.000 0.000
4.746 1.363 5.043
6.321 5.273 4.031
3.172 4.192 6.060
1.574 2.830 1.016
7.918 6.635 9.074
9.222 7.195 2.983
0.271 2.269 7.108
4.475 0.907 2.064
5.017 8.558 8.027
8.961 4.678 1.856
0.531 4.786 8.234
4.215 3.424 3.191
5.278 6.041 6.900
8.211 2.039 1.196
1.282 7.425 8.894
3.465 6.063 3.851
6.028 3.402 6.240
```

(4)
First-principles (r²SCAN) data for crystalline Mn2ZnO4 at its relaxed geometry, as listed in Materials Project.

Summary:
ΔE_f	-2.021	eV/atom
mass density	5.25	g/cm³
M_tot	8.0	μB per formula unit

The structure in POSCAR format:
```
Mn2ZnO4
1.0
-0.563 4.795 -3.060
-2.678 -2.934 -4.110
-2.444 -0.097 5.642
Mn Zn O
4 2 8
Cartesian
-5.123 -3.031 1.532
-4.182 -0.585 -2.819
-4.464 1.812 -4.349
-4.347 3.231 0.527
-1.967 1.874 -2.043
-3.719 -0.110 0.515
-3.757 1.286 -2.634
-3.510 2.871 2.226
-3.201 0.246 3.903
-1.929 0.477 1.106
-3.396 -1.128 -1.145
-2.176 -1.107 -3.755
-2.290 2.891 -0.384
-2.485 1.517 -5.431
```

(5)
First-principles (r²SCAN) data for crystalline Nd12Ni6Sn at its relaxed geometry, as listed in Materials Project.

Summary:
ΔE_f	-0.308	eV/atom
mass density	7.24	g/cm³
M_tot	0.0	μB per formula unit

The structure in POSCAR format:
```
Nd12Ni6Sn
1.0
-5.016 5.016 5.016
5.016 -5.016 5.016
5.016 5.016 -5.016
Nd Ni Sn
12 6 1
Cartesian
1.867 6.945 0.000
1.928 5.016 3.150
0.000 1.867 3.088
-1.928 5.016 3.150
5.016 3.150 1.928
3.088 0.000 1.867
5.016 3.150 -1.928
0.000 1.867 6.945
6.945 0.000 1.867
3.150 1.928 5.016
1.867 3.088 0.000
3.150 -1.928 5.016
0.000 5.016 1.218
0.000 3.799 5.016
3.799 5.016 0.000
5.016 1.218 0.000
1.218 0.000 5.016
5.016 0.000 3.799
0.000 0.000 0.000
```

(6)
First-principles (r²SCAN) data for crystalline Na3IO at its relaxed geometry, as listed in Materials Project.

Summary:
ΔE_f	-1.436	eV/atom
mass density	3.34	g/cm³
M_tot	0.0	μB per formula unit

The structure in POSCAR format:
```
Na3IO
1.0
3.346 -5.795 0.000
3.346 5.795 0.000
0.000 0.000 16.308
Na I O
18 6 6
Cartesian
3.346 3.875 15.018
3.346 3.875 9.444
1.953 2.736 12.231
1.663 0.960 9.444
1.663 0.960 15.018
4.739 2.736 12.231
3.346 0.323 12.231
1.663 -0.960 1.290
1.663 -0.960 6.864
5.028 0.960 15.018
5.028 0.960 9.444
3.346 -0.323 4.077
1.953 -2.736 4.077
5.028 -0.960 1.290
5.028 -0.960 6.864
4.739 -2.736 4.077
3.346 -3.875 1.290
3.346 -3.875 6.864
3.346 1.932 1.626
0.000 0.000 4.077
3.346 1.932 6.528
0.000 0.000 12.231
3.346 -1.932 9.776
3.346 -1.932 14.686
3.346 1.932 13.867
0.000 0.000 0.000
6.692 0.000 8.154
3.346 1.932 10.595
3.346 -1.932 5.713
3.346 -1.932 2.441
```

(7)
First-principles (r²SCAN) data for crystalline KSmP2S7 at its relaxed geometry, as listed in Materials Project.

Summary:
ΔE_f	-1.065	eV/atom
mass density	2.90	g/cm³
M_tot	0.0	μB per formula unit

The structure in POSCAR format:
```
KSmP2S7
1.0
-4.167 5.149 10.498
4.243 -6.368 4.807
7.959 5.568 0.428
K Sm P S
4 4 8 28
Cartesian
0.330 5.523 9.277
2.932 1.745 10.470
5.102 2.604 5.264
7.704 -1.174 6.457
2.216 -1.234 6.730
7.045 3.504 13.661
5.819 5.583 9.004
0.989 0.844 2.072
4.678 -2.652 8.985
7.184 3.466 1.673
3.356 7.001 6.749
0.516 1.858 7.154
3.782 -0.982 3.494
7.518 2.491 8.579
4.252 5.330 12.239
0.850 0.882 14.060
3.599 5.050 7.119
8.408 4.035 9.538
5.534 2.792 8.545
6.214 5.678 11.861
-0.197 2.148 9.024
7.563 1.765 2.881
1.820 -1.329 3.873
3.276 -3.692 7.951
3.359 5.110 10.453
4.435 -0.701 8.615
2.203 2.856 3.761
4.675 -0.762 5.281
3.927 0.489 2.147
2.500 1.557 7.188
4.107 3.859 13.586
0.011 3.716 6.265
-0.374 0.313 6.195
5.831 1.493 11.972
6.490 -3.935 4.885
8.023 0.633 9.468
6.594 4.786 3.087
4.681 9.204 11.180
1.440 -0.438 12.647
3.353 -4.855 4.553
0.472 2.584 12.852
4.758 8.040 7.782
8.232 2.201 6.710
1.544 8.284 10.848
```

(8)
First-principles (r²SCAN) data for crystalline Co2Ge3S3 at its relaxed geometry, as listed in Materials Project.

Summary:
ΔE_f	-0.413	eV/atom
mass density	5.61	g/cm³
M_tot	0.0	μB per formula unit

The structure in POSCAR format:
```
Co2Ge3S3
1.0
-1.772 7.573 1.861
-7.610 -2.087 1.297
1.700 -1.476 7.674
Co Ge S
8 12 12
Cartesian
-1.104 0.310 6.614
-6.577 3.700 4.218
-2.874 4.813 3.691
-4.807 -0.803 7.140
-5.766 -0.037 3.436
-5.806 3.031 8.187
-1.916 4.047 7.396
-1.875 0.979 2.644
-2.871 5.612 8.814
-4.811 -1.602 2.018
-1.555 2.935 3.835
-4.155 1.360 2.574
-2.105 -0.215 4.611
-8.539 3.857 5.444
-6.127 1.075 6.997
-3.527 2.650 8.258
-2.320 4.724 1.442
-5.361 -0.714 9.390
0.857 0.153 5.387
-5.577 4.225 6.221
-5.292 4.924 9.255
-2.998 0.381 7.797
-1.721 2.310 0.857
-7.987 3.420 7.900
-5.961 1.700 9.974
-4.684 3.629 3.035
-4.347 -0.919 4.957
-6.723 1.505 4.739
-0.958 2.505 6.093
0.305 0.590 2.931
-3.335 4.929 5.874
-2.390 -0.914 1.577
```

(9)
First-principles (r²SCAN) data for crystalline Pr4Ga2O9 at its relaxed geometry, as listed in Materials Project.

Summary:
ΔE_f	-3.154	eV/atom
mass density	5.88	g/cm³
M_tot	0.0	μB per formula unit

The structure in POSCAR format:
```
Pr4Ga2O9
1.0
11.106 0.000 0.000
0.000 7.869 -0.002
0.000 3.817 10.947
Pr Ga O
16 8 36
Cartesian
6.900 4.781 9.975
1.347 8.813 6.444
4.206 6.905 0.970
9.759 2.872 4.501
6.915 8.783 10.154
1.362 4.811 6.265
4.191 2.903 0.791
9.744 6.874 4.680
6.521 8.850 3.368
0.968 0.927 2.104
4.584 2.835 7.577
10.137 10.759 8.841
6.700 4.846 3.103
1.147 4.931 2.368
4.406 6.840 7.841
9.959 6.754 8.577
7.624 5.067 6.739
2.071 8.527 9.679
3.481 6.619 4.206
9.034 3.159 1.266
7.658 8.548 6.868
2.105 5.046 9.551
3.447 3.138 4.077
9.000 6.639 1.394
5.661 6.820 9.833
0.108 6.774 6.586
5.445 4.865 1.112
10.997 4.912 4.359
5.502 10.681 9.794
11.055 2.913 6.624
5.604 1.004 1.150
0.051 8.773 4.321
5.920 4.918 7.422
0.367 8.676 8.997
5.186 6.768 3.523
10.739 3.009 1.948
8.094 4.601 5.042
2.541 5.176 0.430
5.904 8.691 7.357
3.012 7.085 5.903
8.316 6.808 6.713
2.763 6.786 9.705
2.790 4.878 4.232
8.343 4.899 1.240
8.144 9.106 5.206
2.591 0.671 0.265
2.962 2.580 5.739
8.515 11.014 10.680
8.640 4.555 8.193
3.087 9.039 8.225
2.466 7.131 2.751
8.019 2.647 2.720
8.629 8.955 8.397
3.076 4.639 8.021
2.477 2.731 2.548
8.030 7.047 2.924
10.755 6.783 1.884
5.202 2.994 3.588
0.351 4.903 9.061
8.565 6.509 10.515
```

(10)
First-principles (r²SCAN) data for crystalline Li2TlHg at its relaxed geometry, as listed in Materials Project.

Summary:
ΔE_f	-0.324	eV/atom
mass density	9.14	g/cm³
M_tot	0.0	μB per formula unit

The structure in POSCAR format:
```
Li2TlHg
1.0
-3.887 -1.908 1.968
-4.051 -0.232 -2.480
-1.618 -4.205 -1.524
Li Tl Hg
2 1 1
Cartesian
-2.389 -1.586 -0.509
-7.167 -4.758 -1.527
0.000 0.000 0.000
-4.778 -3.172 -1.018
```

(11)
First-principles (r²SCAN) data for crystalline CoPd2Se2 at its relaxed geometry, as listed in Materials Project.

Summary:
ΔE_f	-0.252	eV/atom
mass density	8.90	g/cm³
M_tot	0.9	μB per formula unit

The structure in POSCAR format:
```
CoPd2Se2
1.0
-1.569 4.567 -1.278
-4.274 -2.443 -3.484
-0.444 -1.063 6.507
Co Pd Se
2 4 4
Cartesian
-1.176 3.425 -0.958
-0.392 1.142 -0.320
-2.873 2.577 2.975
-3.413 -1.517 -1.230
-3.165 1.357 -1.027
-3.122 -0.296 2.773
-5.109 0.359 -2.209
-1.178 0.702 3.954
-1.862 -0.517 0.438
-4.424 1.578 1.307
```

(12)
First-principles (r²SCAN) data for crystalline K2Ga2Sb3 at its relaxed geometry, as listed in Materials Project.

Summary:
ΔE_f	-0.467	eV/atom
mass density	4.30	g/cm³
M_tot	0.0	μB per formula unit

The structure in POSCAR format:
```
K2Ga2Sb3
1.0
7.248 0.000 0.000
0.000 14.864 0.001
0.000 0.150 16.700
K Ga Sb
16 16 24
Cartesian
7.076 12.881 16.567
3.452 2.208 8.484
0.173 2.133 0.134
3.797 12.805 8.217
3.906 5.172 0.331
0.282 9.767 8.020
3.342 9.842 16.370
6.966 5.247 8.681
3.807 1.121 1.876
0.183 13.818 6.475
3.441 13.893 14.825
7.065 1.196 10.226
6.916 8.405 14.903
3.292 6.684 10.148
0.332 6.609 1.798
3.956 8.330 6.552
2.060 4.801 13.865
5.684 10.288 11.186
5.188 10.213 2.836
1.564 4.726 5.515
5.734 13.628 12.198
2.110 1.461 12.853
1.515 1.386 4.503
5.139 13.553 3.848
5.588 2.831 13.759
1.964 12.258 11.292
1.661 12.182 2.942
5.285 2.756 5.409
5.554 6.178 12.695
1.930 8.911 12.356
1.694 8.836 4.006
5.318 6.103 4.345
7.008 0.532 13.801
3.384 14.557 11.250
0.240 14.481 2.900
3.864 0.457 5.451
3.271 2.572 15.037
6.895 12.517 10.014
3.978 12.442 1.664
0.353 2.497 6.687
6.835 5.025 14.802
3.210 10.064 10.249
0.414 9.989 1.899
4.038 4.950 6.452
5.923 3.777 2.982
2.298 11.162 5.369
1.326 11.237 13.719
4.950 3.852 11.332
3.358 7.180 13.933
6.983 7.909 11.118
3.890 7.834 2.768
0.266 7.105 5.583
1.549 3.683 3.045
5.173 11.256 5.306
5.700 11.331 13.656
2.076 3.758 11.395
```